1) Material: CaLa8Se12
Method: DFT, PBE-GGA
State: relaxed

Cell lengths 9.1035, 9.1035, 15.0558 Å; angles 72.46, 72.46, 89.99 degrees
Atoms (fractional coordinates):
Ca1 0.0000 0.0000 0.0000
Ca2 0.1292 0.8708 0.5000
La1 0.1261 0.7424 0.2525
La2 0.1667 0.4063 0.6679
La3 0.2024 0.7061 0.8350
La4 0.2105 0.3240 0.0820
La5 0.3288 0.3280 0.3337
La6 0.4573 0.1996 0.8337
La7 0.4608 0.0733 0.5848
La8 0.4961 0.7466 0.9997
La9 0.5356 0.0375 0.1679
La10 0.5407 0.6607 0.4169
La11 0.6696 0.6576 0.6673
La12 0.7868 0.5404 0.1673
La13 0.7900 0.4114 0.9169
La14 0.8353 0.0731 0.3350
La15 0.8758 0.3669 0.4997
La16 0.8787 0.9902 0.7491
Se1 0.0295 0.4074 0.2830
Se2 0.1312 0.3588 0.8842
Se3 0.1474 0.6742 0.0504
Se4 0.1530 0.1661 0.5511
Se5 0.1796 0.0547 0.2862
Se6 0.1839 0.0504 0.7862
Se7 0.1986 0.5702 0.4521
Se8 0.2953 0.0237 0.0511
Se9 0.3695 0.7320 0.6184
Se10 0.4604 0.6885 0.2175
Se11 0.4796 0.5021 0.8848
Se12 0.4880 0.0019 0.3842
Se13 0.5130 0.3885 0.1160
Se14 0.5177 0.3838 0.6160
Se15 0.5366 0.9002 0.7830
Se16 0.6313 0.3504 0.3849
Se17 0.6994 0.0693 0.9521
Se18 0.8034 0.0182 0.5504
Se19 0.8134 0.8427 0.2152
Se20 0.8177 0.3312 0.7175
Se21 0.8451 0.7181 0.9521
Se22 0.8474 0.7158 0.4521
Se23 0.8613 0.2403 0.1184
Se24 0.9719 0.6842 0.7152

Summary:
Calculated volume: 26.87 A^3/atom
Space group: No. 1
Total magnetic moment: 0.00 μB per formula unit

---

2) Material: CaLa8Se12
Method: DFT, PBE-GGA
State: relaxed

Cell lengths 9.1035, 9.1035, 15.0558 Å; angles 107.54, 107.54, 89.99 degrees
Atoms (fractional coordinates):
Ca1 0.0622 0.9378 0.5000
Ca2 0.9378 0.0622 0.0000
La1 0.0573 0.8116 0.7509
La2 0.0997 0.4734 0.3321
La3 0.1404 0.3937 0.9152
La4 0.1402 0.7682 0.1650
La5 0.2667 0.3902 0.6663
La6 0.3902 0.2667 0.1663
La7 0.3937 0.1404 0.4152
La8 0.4340 0.8087 0.0003
La9 0.4734 0.0997 0.8321
La10 0.4736 0.7278 0.5831
La11 0.6025 0.7247 0.3327
La12 0.7247 0.6025 0.8327
La13 0.7278 0.4736 0.0831
La14 0.7682 0.1402 0.6650
La15 0.8087 0.4340 0.5003
La16 0.8116 0.0573 0.2509
Se1 0.0690 0.4209 0.1158
Se2 0.0853 0.7363 0.9496
Se3 0.0859 0.2332 0.4489
Se4 0.1168 0.1175 0.2138
Se5 0.1175 0.1168 0.7138
Se6 0.1315 0.6372 0.5479
Se7 0.2332 0.0859 0.9489
Se8 0.3025 0.7991 0.3816
Se9 0.3983 0.7506 0.7825
Se10 0.4175 0.5642 0.1152
Se11 0.4209 0.0690 0.6158
Se12 0.4506 0.4508 0.3840
Se13 0.4508 0.4506 0.8840
Se14 0.4695 0.9673 0.2170
Se15 0.5642 0.4175 0.6152
Se16 0.6372 0.1315 0.0479
Se17 0.7363 0.0853 0.4496
Se18 0.7506 0.3983 0.2825
Se19 0.7513 0.9048 0.7848
Se20 0.7803 0.7829 0.5479
Se21 0.7829 0.7803 0.0479
Se22 0.7991 0.3025 0.8816
Se23 0.9048 0.7513 0.2848
Se24 0.9673 0.4695 0.7170

Summary:
Calculated volume: 26.87 A^3/atom
Space group: No. 9
Total magnetic moment: 0.52 μB per formula unit

---

It comes down to 2), which is 73 meV per atom more stable than the next structure.

---

1) Material: LiCaMg6
Method: DFT, PBE-GGA
State: relaxed

Cell lengths 5.2474, 6.5804, 11.5085 Å; angles 90.00, 90.00, 90.00 degrees
Atoms (fractional coordinates):
Li1 0.5000 0.5000 0.1625
Li2 0.5000 0.0000 0.6625
Ca1 0.0000 0.5000 0.3311
Ca2 0.0000 0.0000 0.8311
Mg1 0.0000 0.7444 0.0815
Mg2 0.0000 0.2556 0.0815
Mg3 0.0000 0.0000 0.3364
Mg4 0.5000 0.2436 0.4197
Mg5 0.5000 0.7564 0.4197
Mg6 0.5000 0.0000 0.1675
Mg7 0.0000 0.2444 0.5815
Mg8 0.0000 0.7556 0.5815
Mg9 0.0000 0.5000 0.8364
Mg10 0.5000 0.7436 0.9197
Mg11 0.5000 0.2564 0.9197
Mg12 0.5000 0.5000 0.6675

Summary:
Calculated volume: 24.84 A^3/atom
Total magnetic moment: 0.00 μB per formula unit

---

2) Material: LiCaMg6
Method: DFT, PBE-GGA
State: relaxed

Cell lengths 5.2797, 6.5124, 11.5448 Å; angles 90.00, 90.00, 90.00 degrees
Atoms (fractional coordinates):
Li1 0.5000 0.5000 0.1654
Li2 0.5000 0.0000 0.6654
Ca1 0.5000 0.0000 0.1672
Ca2 0.5000 0.5000 0.6672
Mg1 0.5000 0.2466 0.4182
Mg2 0.5000 0.7534 0.4182
Mg3 0.0000 0.7429 0.0815
Mg4 0.0000 0.2571 0.0815
Mg5 0.0000 0.0000 0.3363
Mg6 0.0000 0.5000 0.3317
Mg7 0.5000 0.7466 0.9182
Mg8 0.5000 0.2534 0.9182
Mg9 0.0000 0.2429 0.5815
Mg10 0.0000 0.7571 0.5815
Mg11 0.0000 0.5000 0.8363
Mg12 0.0000 0.0000 0.8317

Summary:
Calculated volume: 24.81 A^3/atom
Total magnetic moment: 0.00 μB per formula unit

---

It comes down to 1), which is 6 meV per atom more stable than the next structure.

---

1) Material: Ca5Mg
Method: DFT, PBE-GGA
State: relaxed

Cell lengths 6.5367, 6.5367, 6.1652 Å; angles 90.00, 90.00, 120.00 degrees
Atoms (fractional coordinates):
Ca1 0.0000 0.6771 0.0000
Ca2 0.3229 0.3229 0.0000
Ca3 0.3333 0.6667 0.5000
Ca4 0.6667 0.3333 0.5000
Ca5 0.6771 0.0000 0.0000
Mg1 0.0000 0.0000 0.5000

Summary:
Calculated volume: 38.02 A^3/atom
Space group: No. 189

---

2) Material: Ca5Mg
Method: DFT, PBE-GGA
State: relaxed

Cell lengths 6.1467, 10.0079, 10.0079 Å; angles 22.10, 90.00, 90.00 degrees
Atoms (fractional coordinates):
Ca1 0.0000 0.0000 0.0000
Ca2 0.0000 0.3136 0.3136
Ca3 0.5000 0.1060 0.1060
Ca4 0.5000 0.4340 0.4340
Ca5 0.5000 0.7648 0.7648
Mg1 0.0000 0.6571 0.6571

Summary:
Calculated volume: 38.60 A^3/atom
Space group: No. 38

---

It comes down to 1), which is 7 meV per atom more stable than the next structure.

---

1) Material: Ca5Mg
Method: DFT, PBE-GGA
State: relaxed

Cell lengths 3.8168, 3.8168, 18.7376 Å; angles 90.00, 90.00, 120.00 degrees
Atoms (fractional coordinates):
Ca1 0.0000 0.0000 0.0000
Ca2 0.0000 0.0000 0.3528
Ca3 0.0000 0.0000 0.6472
Ca4 0.3333 0.6667 0.1754
Ca5 0.3333 0.6667 0.8246
Mg1 0.3333 0.6667 0.5000

Summary:
Calculated volume: 39.40 A^3/atom
Space group: No. 187

---

2) Material: Ca5Mg
Method: DFT, PBE-GGA
State: relaxed

Cell lengths 7.4365, 7.4365, 8.8375 Å; angles 105.18, 105.18, 29.75 degrees
Atoms (fractional coordinates):
Ca1 0.0000 0.0000 0.0000
Ca2 0.0514 0.0514 0.6241
Ca3 0.3197 0.3197 0.6839
Ca4 0.3737 0.3737 0.2634
Ca5 0.6583 0.6583 0.3332
Mg1 0.7135 0.7135 0.9470

Summary:
Calculated volume: 38.91 A^3/atom
Space group: No. 8

---

It comes down to 2), which is 18 meV per atom more stable than the next structure.

---

1) Material: CaMg6Mo
Method: DFT, PBE-GGA
State: relaxed

Cell lengths 5.0889, 6.3902, 11.1050 Å; angles 90.00, 90.00, 90.00 degrees
Atoms (fractional coordinates):
Ca1 0.0000 0.5000 0.3261
Ca2 0.0000 0.0000 0.8261
Mg1 0.0000 0.2655 0.0863
Mg2 0.0000 0.7345 0.0863
Mg3 0.0000 0.0000 0.3347
Mg4 0.5000 0.7560 0.4198
Mg5 0.5000 0.2440 0.4198
Mg6 0.5000 0.0000 0.1654
Mg7 0.0000 0.7655 0.5863
Mg8 0.0000 0.2345 0.5863
Mg9 0.0000 0.5000 0.8347
Mg10 0.5000 0.2560 0.9198
Mg11 0.5000 0.7440 0.9198
Mg12 0.5000 0.5000 0.6654
Mo1 0.5000 0.5000 0.1615
Mo2 0.5000 0.0000 0.6615

Summary:
Calculated volume: 22.57 A^3/atom
Total magnetic moment: 1.18 μB per formula unit

---

2) Material: CaMg6Mo
Method: DFT, PBE-GGA
State: relaxed

Cell lengths 6.3676, 6.3676, 4.3670 Å; angles 90.00, 90.00, 90.00 degrees
Atoms (fractional coordinates):
Ca1 0.0000 0.0000 0.0000
Mg1 0.0000 0.5000 0.0000
Mg2 0.2736 0.2736 0.5000
Mg3 0.2736 0.7264 0.5000
Mg4 0.5000 0.0000 0.0000
Mg5 0.7264 0.2736 0.5000
Mg6 0.7264 0.7264 0.5000
Mo1 0.5000 0.5000 0.0000

Summary:
Calculated volume: 22.13 A^3/atom
Space group: No. 123
Total magnetic moment: 0.00 μB per formula unit

---

It comes down to 2), which is 101 meV per atom more stable than the next structure.

---

1) Material: NaCaMg14
Method: DFT, PBE-GGA
State: relaxed

Cell lengths 10.5336, 6.5720, 6.5720 Å; angles 59.79, 90.00, 90.00 degrees
Atoms (fractional coordinates):
Na1 0.0000 0.0000 0.0000
Ca1 0.0000 0.5004 0.5004
Mg1 0.0000 0.5067 0.9991
Mg2 0.0000 0.9991 0.5067
Mg3 0.2506 0.1700 0.1700
Mg4 0.2559 0.6703 0.6703
Mg5 0.2617 0.1647 0.6657
Mg6 0.2617 0.6657 0.1647
Mg7 0.5000 0.0007 0.0007
Mg8 0.5000 0.0010 0.5018
Mg9 0.5000 0.5012 0.5012
Mg10 0.5000 0.5018 0.0010
Mg11 0.7383 0.1647 0.6657
Mg12 0.7383 0.6657 0.1647
Mg13 0.7441 0.6703 0.6703
Mg14 0.7494 0.1700 0.1700

Summary:
Calculated volume: 24.57 A^3/atom
Space group: No. 38
Total magnetic moment: 0.00 μB per formula unit

---

2) Material: NaCaMg14
Method: DFT, PBE-GGA
State: relaxed

Cell lengths 6.5986, 6.5986, 10.3658 Å; angles 90.00, 90.00, 120.00 degrees
Atoms (fractional coordinates):
Na1 0.0000 0.0000 0.0000
Ca1 0.0000 0.0000 0.5000
Mg1 0.0030 0.5015 0.0000
Mg2 0.0062 0.5031 0.5000
Mg3 0.1708 0.3415 0.2470
Mg4 0.1708 0.3415 0.7530
Mg5 0.1708 0.8292 0.2470
Mg6 0.1708 0.8292 0.7530
Mg7 0.4969 0.5031 0.5000
Mg8 0.4969 0.9938 0.5000
Mg9 0.4985 0.5015 0.0000
Mg10 0.4985 0.9970 0.0000
Mg11 0.6585 0.8292 0.2470
Mg12 0.6585 0.8292 0.7530
Mg13 0.6667 0.3333 0.2520
Mg14 0.6667 0.3333 0.7480

Summary:
Calculated volume: 24.43 A^3/atom
Space group: No. 187
Total magnetic moment: 0.00 μB per formula unit

---

It comes down to 2), which is 6 meV per atom more stable than the next structure.

---

1) Material: CaMg6NbO8
Method: DFT, PBE-GGA
State: relaxed

Cell lengths 4.3830, 4.3830, 8.8638 Å; angles 90.00, 90.00, 90.00 degrees
Atoms (fractional coordinates):
Ca1 0.0000 0.0000 0.0000
Mg1 0.0000 0.0000 0.5000
Mg2 0.0000 0.5000 0.2616
Mg3 0.0000 0.5000 0.7384
Mg4 0.5000 0.0000 0.2616
Mg5 0.5000 0.0000 0.7384
Mg6 0.5000 0.5000 0.5000
Nb1 0.5000 0.5000 0.0000
O1 0.0000 0.0000 0.2657
O2 0.0000 0.0000 0.7343
O3 0.0000 0.5000 0.0000
O4 0.0000 0.5000 0.5000
O5 0.5000 0.0000 0.0000
O6 0.5000 0.0000 0.5000
O7 0.5000 0.5000 0.2624
O8 0.5000 0.5000 0.7376

Summary:
Calculated volume: 10.64 A^3/atom
Space group: No. 123
Total magnetic moment: 0.67 μB per formula unit

---

2) Material: CaMg6NbO8
Method: DFT, PBE-GGA
State: relaxed

Cell lengths 4.4111, 4.4111, 8.8665 Å; angles 90.00, 90.00, 90.00 degrees
Atoms (fractional coordinates):
Ca1 0.0000 0.0000 0.0000
Mg1 0.0000 0.5000 0.2502
Mg2 0.0000 0.5000 0.7498
Mg3 0.5000 0.0000 0.2502
Mg4 0.5000 0.0000 0.7498
Mg5 0.5000 0.5000 0.0000
Mg6 0.5000 0.5000 0.5000
Nb1 0.0000 0.0000 0.5000
O1 0.0000 0.0000 0.2525
O2 0.0000 0.0000 0.7475
O3 0.0000 0.5000 0.0000
O4 0.0000 0.5000 0.5000
O5 0.5000 0.0000 0.0000
O6 0.5000 0.0000 0.5000
O7 0.5000 0.5000 0.2508
O8 0.5000 0.5000 0.7492

Summary:
Calculated volume: 10.78 A^3/atom
Space group: No. 123
Total magnetic moment: 1.22 μB per formula unit

---

It comes down to 1), which is 51 meV per atom more stable than the next structure.

---

1) Material: CaMg6Ni
Method: DFT, PBE-GGA
State: relaxed

Cell lengths 4.8919, 6.2524, 11.7814 Å; angles 90.00, 90.00, 90.00 degrees
Atoms (fractional coordinates):
Ca1 0.0000 0.5000 0.3067
Ca2 0.0000 0.0000 0.8067
Mg1 0.0000 0.2574 0.0783
Mg2 0.0000 0.7426 0.0783
Mg3 0.0000 0.0000 0.3411
Mg4 0.5000 0.7595 0.4404
Mg5 0.5000 0.2405 0.4404
Mg6 0.5000 0.0000 0.1814
Mg7 0.0000 0.7574 0.5783
Mg8 0.0000 0.2426 0.5783
Mg9 0.0000 0.5000 0.8411
Mg10 0.5000 0.2595 0.9404
Mg11 0.5000 0.7405 0.9404
Mg12 0.5000 0.5000 0.6814
Ni1 0.5000 0.5000 0.1335
Ni2 0.5000 0.0000 0.6335

Summary:
Calculated volume: 22.52 A^3/atom
Total magnetic moment: 0.00 μB per formula unit

---

2) Material: CaMg6Ni
Method: DFT, PBE-GGA
State: relaxed

Cell lengths 5.0823, 6.6781, 6.6781 Å; angles 55.07, 90.00, 90.00 degrees
Atoms (fractional coordinates):
Ca1 0.0000 0.0000 0.0000
Mg1 0.0000 0.0047 0.4974
Mg2 0.0000 0.4974 0.0047
Mg3 0.5000 0.1593 0.6390
Mg4 0.5000 0.1606 0.1606
Mg5 0.5000 0.6250 0.6250
Mg6 0.5000 0.6390 0.1593
Ni1 0.0000 0.4491 0.4491

Summary:
Calculated volume: 23.23 A^3/atom
Space group: No. 38
Total magnetic moment: 0.00 μB per formula unit

---

It comes down to 1), which is 11 meV per atom more stable than the next structure.

---

1) Material: CaMg6SnO8
Method: DFT, PBE-GGA
State: relaxed

Cell lengths 4.5236, 4.5236, 9.0379 Å; angles 90.00, 90.00, 90.00 degrees
Atoms (fractional coordinates):
Ca1 0.0000 0.0000 0.0000
Mg1 0.0000 0.5000 0.2463
Mg2 0.0000 0.5000 0.7537
Mg3 0.5000 0.0000 0.2463
Mg4 0.5000 0.0000 0.7537
Mg5 0.5000 0.5000 0.0000
Mg6 0.5000 0.5000 0.5000
Sn1 0.0000 0.0000 0.5000
O1 0.0000 0.0000 0.2443
O2 0.0000 0.0000 0.7557
O3 0.0000 0.5000 0.0000
O4 0.0000 0.5000 0.5000
O5 0.5000 0.0000 0.0000
O6 0.5000 0.0000 0.5000
O7 0.5000 0.5000 0.2512
O8 0.5000 0.5000 0.7488

Summary:
Calculated volume: 11.56 A^3/atom
Space group: No. 123
Total magnetic moment: 0.00 μB per formula unit

---

2) Material: CaMg6SnO8
Method: DFT, PBE-GGA
State: relaxed

Cell lengths 4.5333, 4.5333, 8.9799 Å; angles 90.00, 90.00, 90.00 degrees
Atoms (fractional coordinates):
Ca1 0.0000 0.0000 0.0000
Mg1 0.0000 0.0000 0.5000
Mg2 0.0000 0.5000 0.2684
Mg3 0.0000 0.5000 0.7316
Mg4 0.5000 0.0000 0.2684
Mg5 0.5000 0.0000 0.7316
Mg6 0.5000 0.5000 0.5000
Sn1 0.5000 0.5000 0.0000
O1 0.0000 0.0000 0.2667
O2 0.0000 0.0000 0.7333
O3 0.0000 0.5000 0.0000
O4 0.0000 0.5000 0.5000
O5 0.5000 0.0000 0.0000
O6 0.5000 0.0000 0.5000
O7 0.5000 0.5000 0.2755
O8 0.5000 0.5000 0.7245

Summary:
Calculated volume: 11.53 A^3/atom
Space group: No. 123
Total magnetic moment: 0.00 μB per formula unit

---

It comes down to 2), which is 52 meV per atom more stable than the next structure.